Entry 1:
{"formula": "Li6Ca12W4N16O3", "functional": "PBE+U", "state": "optimized geometry", "lattice_angstrom": [[10.755, 0.000, -3.803], [-5.378, 9.314, -3.803], [0.000, 0.000, 11.408]], "species": ["Li", "Li", "Li", "Li", "Li", "Li", "Li", "Li", "Li", "Li", "Li", "Li", "Ca", "Ca", "Ca", "Ca", "Ca", "Ca", "Ca", "Ca", "Ca", "Ca", "Ca", "Ca", "Ca", "Ca", "Ca", "Ca", "Ca", "Ca", "Ca", "Ca", "Ca", "Ca", "Ca", "Ca", "W", "W", "W", "W", "W", "W", "W", "W", "N", "N", "N", "N", "N", "N", "N", "N", "N", "N", "N", "N", "N", "N", "N", "N", "N", "N", "N", "N", "N", "N", "N", "N", "N", "N", "N", "N", "N", "N", "N", "N", "O", "O", "O", "O", "O", "O"], "frac_coords": [[0.250, 0.274, 0.024], [0.250, 0.976, 0.726], [0.774, 0.750, 0.524], [0.524, 0.774, 0.750], [0.726, 0.250, 0.976], [0.976, 0.726, 0.250], [0.750, 0.226, 0.476], [0.226, 0.476, 0.750], [0.274, 0.024, 0.250], [0.024, 0.250, 0.274], [0.476, 0.750, 0.226], [0.750, 0.524, 0.774], [0.593, 0.537, 0.208], [0.963, 0.556, 0.671], [0.292, 0.829, 0.385], [0.907, 0.115, 0.944], [0.115, 0.944, 0.907], [0.944, 0.907, 0.115], [0.093, 0.708, 0.037], [0.171, 0.056, 0.463], [0.329, 0.792, 0.885], [0.444, 0.615, 0.407], [0.615, 0.407, 0.444], [0.037, 0.093, 0.708], [0.056, 0.463, 0.171], [0.885, 0.329, 0.792], [0.708, 0.037, 0.093], [0.463, 0.171, 0.056], [0.792, 0.885, 0.329], [0.671, 0.963, 0.556], [0.829, 0.385, 0.292], [0.385, 0.292, 0.829], [0.537, 0.208, 0.593], [0.208, 0.593, 0.537], [0.556, 0.671, 0.963], [0.407, 0.444, 0.615], [0.276, 0.276, 0.276], [0.724, 0.500, 0.000], [0.500, 0.000, 0.724], [0.000, 0.724, 0.500], [0.500, 0.000, 0.224], [0.000, 0.224, 0.500], [0.224, 0.500, 0.000], [0.776, 0.776, 0.776], [0.109, 0.109, 0.109], [0.891, 0.500, 0.000], [0.500, 0.000, 0.891], [0.000, 0.891, 0.500], [0.500, 0.000, 0.391], [0.000, 0.391, 0.500], [0.391, 0.500, 0.000], [0.609, 0.609, 0.609], [0.419, 0.367, 0.234], [0.133, 0.552, 0.867], [0.266, 0.633, 0.185], [0.081, 0.315, 0.948], [0.315, 0.948, 0.081], [0.948, 0.081, 0.315], [0.919, 0.734, 0.867], [0.367, 0.052, 0.633], [0.133, 0.766, 0.685], [0.448, 0.815, 0.581], [0.815, 0.581, 0.448], [0.867, 0.919, 0.734], [0.052, 0.633, 0.367], [0.685, 0.133, 0.766], [0.734, 0.867, 0.919], [0.633, 0.367, 0.052], [0.766, 0.685, 0.133], [0.867, 0.133, 0.552], [0.633, 0.185, 0.266], [0.185, 0.266, 0.633], [0.367, 0.234, 0.419], [0.234, 0.419, 0.367], [0.552, 0.867, 0.133], [0.581, 0.448, 0.815], [0.125, 0.875, 0.250], [0.625, 0.750, 0.375], [0.875, 0.250, 0.125], [0.250, 0.125, 0.875], [0.750, 0.375, 0.625], [0.375, 0.625, 0.750]], "vol_a3_per_atom": 13.94, "formation_enthalpy_0k_mev_per_atom": -1119, "space_group": "No. 220", "energy_corrected_mp2020_ev_per_cell": -562.951}

***

Entry 2:
{"formula": "LiCoSi2O6", "functional": "PBE+U", "state": "optimized geometry", "lattice_angstrom": [[-4.294, 2.797, -0.894], [-2.267, -1.998, 4.234], [0.491, 7.690, 6.996]], "species": ["Li", "Li", "Co", "Co", "Si", "Si", "Si", "Si", "O", "O", "O", "O", "O", "O", "O", "O", "O", "O", "O", "O"], "frac_coords": [[0.105, 0.901, 0.671], [0.901, 0.105, 0.171], [0.723, 0.986, 0.496], [0.986, 0.723, 0.996], [0.408, 0.753, 0.166], [0.307, 0.163, 0.338], [0.163, 0.307, 0.838], [0.753, 0.408, 0.666], [0.115, 0.796, 0.136], [0.047, 0.368, 0.989], [0.136, 0.994, 0.840], [0.631, 0.767, 0.025], [0.486, 0.996, 0.232], [0.368, 0.047, 0.489], [0.418, 0.472, 0.277], [0.472, 0.418, 0.777], [0.767, 0.631, 0.525], [0.796, 0.115, 0.636], [0.994, 0.136, 0.340], [0.996, 0.486, 0.732]], "vol_a3_per_atom": 13.24, "formation_enthalpy_0k_mev_per_atom": -2605, "space_group": "No. 9", "energy_corrected_mp2020_ev_per_cell": -151.210}